(1)
# Na6La4Ga4Si3S9O48 (GGA-PBE, relaxed)
# Size of the total moment: 0.00 μB per atom
# Energy of formation: -2.437 eV per atom
data_Na6La4Ga4Si3S9O48
_chemical_formula_sum 'Na18 La12 Ga12 Si9 S27 O144'
_space_group_name_H-M_alt 'P 1'
_space_group_IT_number 1
_cell_length_a 9.110
_cell_length_b 15.664
_cell_length_c 23.708
_cell_angle_alpha 90.86
_cell_angle_beta 90.45
_cell_angle_gamma 90.08
loop_
_space_group_symop_operation_xyz
'x,y,z'
loop_
_atom_site_label
_atom_site_fract_x
_atom_site_fract_y
_atom_site_fract_z
_atom_site_occupancy
Na1 0.000 0.000 0.000 1
Na2 0.001 0.006 0.494 1
Na3 0.009 0.348 0.148 1
Na4 0.011 0.665 0.340 1
Na5 0.017 0.351 0.656 1
Na6 0.137 0.836 0.416 1
Na7 0.144 0.177 0.068 1
Na8 0.365 0.674 0.577 1
Na9 0.373 0.338 0.901 1
Na10 0.487 0.179 0.829 1
Na11 0.495 0.848 0.653 1
Na12 0.502 0.504 0.986 1
Na13 0.508 0.498 0.504 1
Na14 0.509 0.849 0.147 1
Na15 0.525 0.171 0.335 1
Na16 0.652 0.678 0.073 1
Na17 0.850 0.180 0.580 1
Na18 0.981 0.667 0.832 1
La1 0.009 0.671 0.672 1
La2 0.010 0.012 0.855 1
La3 0.010 0.326 0.807 1
La4 0.495 0.173 0.171 1
La5 0.497 0.511 0.356 1
La6 0.498 0.197 0.678 1
La7 0.500 0.826 0.310 1
La8 0.514 0.842 0.807 1
La9 0.516 0.179 0.481 1
La10 0.988 0.679 0.980 1
La11 0.990 0.341 0.307 1
La12 0.999 0.685 0.172 1
Ga1 0.011 0.994 0.638 1
Ga2 0.018 0.681 0.484 1
Ga3 0.020 0.339 0.007 1
Ga4 0.489 0.837 0.514 1
Ga5 0.491 0.494 0.137 1
Ga6 0.496 0.187 0.980 1
Ga7 0.506 0.516 0.839 1
Ga8 0.517 0.481 0.651 1
Ga9 0.531 0.827 0.000 1
Ga10 0.981 0.330 0.505 1
Ga11 0.993 0.001 0.144 1
Ga12 0.997 0.017 0.347 1
Si1 0.160 0.827 0.574 1
Si2 0.168 0.193 0.922 1
Si3 0.339 0.694 0.421 1
Si4 0.343 0.328 0.073 1
Si5 0.363 0.371 0.752 1
Si6 0.641 0.679 0.908 1
Si7 0.673 0.339 0.575 1
Si8 0.834 0.839 0.076 1
Si9 0.860 0.183 0.409 1
S1 0.137 0.874 0.247 1
S2 0.138 0.139 0.240 1
S3 0.154 0.518 0.568 1
S4 0.156 0.484 0.915 1
S5 0.178 0.170 0.576 1
S6 0.216 0.505 0.235 1
S7 0.223 0.839 0.917 1
S8 0.285 0.338 0.416 1
S9 0.289 0.005 0.735 1
S10 0.326 0.670 0.078 1
S11 0.342 0.986 0.410 1
S12 0.345 0.017 0.073 1
S13 0.366 0.643 0.738 1
S14 0.637 0.995 0.922 1
S15 0.643 0.646 0.235 1
S16 0.647 0.366 0.237 1
S17 0.663 0.010 0.579 1
S18 0.702 0.679 0.569 1
S19 0.710 0.336 0.919 1
S20 0.729 0.007 0.245 1
S21 0.782 0.509 0.745 1
S22 0.805 0.839 0.415 1
S23 0.808 0.176 0.073 1
S24 0.838 0.510 0.079 1
S25 0.858 0.865 0.737 1
S26 0.862 0.143 0.733 1
S27 0.870 0.495 0.421 1
O1 0.070 0.787 0.247 1
O2 0.071 0.097 0.584 1
O3 0.071 0.224 0.240 1
O4 0.080 0.783 0.518 1
O5 0.082 0.921 0.583 1
O6 0.085 0.547 0.623 1
O7 0.088 0.249 0.569 1
O8 0.088 0.918 0.300 1
O9 0.089 0.095 0.186 1
O10 0.090 0.241 0.975 1
O11 0.093 0.098 0.921 1
O12 0.093 0.447 0.862 1
O13 0.094 0.918 0.194 1
O14 0.095 0.092 0.291 1
O15 0.103 0.432 0.555 1
O16 0.105 0.573 0.920 1
O17 0.111 0.434 0.965 1
O18 0.117 0.583 0.524 1
O19 0.122 0.583 0.235 1
O20 0.124 0.914 0.923 1
O21 0.125 0.427 0.231 1
O22 0.135 0.760 0.915 1
O23 0.146 0.246 0.864 1
O24 0.149 0.761 0.626 1
O25 0.159 0.686 0.426 1
O26 0.163 0.341 0.066 1
O27 0.176 0.983 0.403 1
O28 0.179 0.020 0.081 1
O29 0.182 0.339 0.464 1
O30 0.186 0.361 0.748 1
O31 0.188 0.005 0.685 1
O32 0.203 0.649 0.741 1
O33 0.206 0.006 0.789 1
O34 0.208 0.343 0.361 1
O35 0.234 0.651 0.029 1
O36 0.236 0.683 0.130 1
O37 0.268 0.151 0.527 1
O38 0.268 0.183 0.628 1
O39 0.299 0.507 0.289 1
O40 0.299 0.844 0.862 1
O41 0.299 0.867 0.246 1
O42 0.300 0.144 0.241 1
O43 0.317 0.506 0.186 1
O44 0.318 0.521 0.575 1
O45 0.319 0.482 0.914 1
O46 0.328 0.840 0.965 1
O47 0.341 0.839 0.568 1
O48 0.349 0.186 0.925 1
O49 0.351 0.262 0.127 1
O50 0.356 0.747 0.361 1
O51 0.373 0.259 0.415 1
O52 0.376 0.082 0.028 1
O53 0.376 0.934 0.460 1
O54 0.378 0.925 0.732 1
O55 0.385 0.081 0.735 1
O56 0.385 0.413 0.422 1
O57 0.391 0.074 0.415 1
O58 0.395 0.931 0.060 1
O59 0.403 0.415 0.691 1
O60 0.409 0.949 0.358 1
O61 0.413 0.600 0.790 1
O62 0.414 0.599 0.685 1
O63 0.415 0.600 0.419 1
O64 0.417 0.045 0.127 1
O65 0.418 0.748 0.071 1
O66 0.419 0.747 0.472 1
O67 0.420 0.421 0.810 1
O68 0.421 0.421 0.083 1
O69 0.428 0.281 0.021 1
O70 0.429 0.731 0.738 1
O71 0.431 0.596 0.087 1
O72 0.443 0.277 0.754 1
O73 0.555 0.586 0.899 1
O74 0.575 0.733 0.230 1
O75 0.576 0.081 0.932 1
O76 0.581 0.279 0.238 1
O77 0.582 0.964 0.866 1
O78 0.584 0.722 0.969 1
O79 0.588 0.301 0.520 1
O80 0.589 0.048 0.628 1
O81 0.592 0.414 0.188 1
O82 0.595 0.935 0.967 1
O83 0.598 0.596 0.184 1
O84 0.599 0.433 0.589 1
O85 0.599 0.607 0.288 1
O86 0.600 0.606 0.572 1
O87 0.602 0.924 0.566 1
O88 0.608 0.743 0.856 1
O89 0.609 0.408 0.291 1
O90 0.609 0.410 0.917 1
O91 0.610 0.758 0.564 1
O92 0.617 0.256 0.925 1
O93 0.636 0.085 0.246 1
O94 0.637 0.929 0.244 1
O95 0.648 0.066 0.529 1
O96 0.655 0.842 0.063 1
O97 0.659 0.270 0.626 1
O98 0.676 0.507 0.088 1
O99 0.682 0.168 0.412 1
O100 0.692 0.514 0.796 1
O101 0.693 0.513 0.692 1
O102 0.695 0.860 0.731 1
O103 0.700 0.147 0.734 1
O104 0.706 0.499 0.420 1
O105 0.707 0.160 0.024 1
O106 0.707 0.855 0.463 1
O107 0.722 0.826 0.361 1
O108 0.724 0.186 0.126 1
O109 0.784 0.690 0.623 1
O110 0.787 0.324 0.865 1
O111 0.801 0.999 0.921 1
O112 0.806 0.655 0.237 1
O113 0.806 0.666 0.521 1
O114 0.809 0.360 0.231 1
O115 0.814 0.348 0.967 1
O116 0.819 0.006 0.193 1
O117 0.819 0.664 0.911 1
O118 0.820 0.008 0.298 1
O119 0.827 0.004 0.588 1
O120 0.843 0.770 0.129 1
O121 0.852 0.343 0.565 1
O122 0.855 0.569 0.031 1
O123 0.867 0.429 0.743 1
O124 0.880 0.585 0.746 1
O125 0.893 0.242 0.354 1
O126 0.897 0.907 0.791 1
O127 0.898 0.425 0.068 1
O128 0.898 0.760 0.421 1
O129 0.901 0.253 0.067 1
O130 0.909 0.913 0.408 1
O131 0.910 0.101 0.079 1
O132 0.911 0.105 0.787 1
O133 0.912 0.093 0.682 1
O134 0.912 0.913 0.688 1
O135 0.913 0.931 0.091 1
O136 0.914 0.436 0.465 1
O137 0.914 0.548 0.129 1
O138 0.919 0.229 0.468 1
O139 0.920 0.799 0.023 1
O140 0.923 0.465 0.365 1
O141 0.923 0.779 0.738 1
O142 0.926 0.230 0.728 1
O143 0.931 0.582 0.430 1
O144 0.947 0.090 0.404 1

(2)
# ZrMn2 (GGA-PBE, relaxed)
# Size of the total moment: 0.76 μB per atom
# Energy of formation: -0.187 eV per atom
data_ZrMn2
_chemical_formula_sum 'Zr2 Mn4'
_space_group_name_H-M_alt 'P 1'
_space_group_IT_number 1
_cell_length_a 4.975
_cell_length_b 4.975
_cell_length_c 4.975
_cell_angle_alpha 60.00
_cell_angle_beta 60.00
_cell_angle_gamma 60.00
loop_
_space_group_symop_operation_xyz
'x,y,z'
loop_
_atom_site_label
_atom_site_fract_x
_atom_site_fract_y
_atom_site_fract_z
_atom_site_occupancy
Zr1 0.125 0.125 0.125 1
Zr2 0.875 0.875 0.875 1
Mn1 0.000 0.500 0.500 1
Mn2 0.500 0.000 0.500 1
Mn3 0.500 0.500 0.000 1
Mn4 0.500 0.500 0.500 1

(3)
# Sr2Er2Al3Si5N11O3 (GGA-PBE, relaxed)
# Size of the total moment: 0.00 μB per atom
# Energy of formation: -1.340 eV per atom
data_Sr2Er2Al3Si5N11O3
_chemical_formula_sum 'Sr2 Er2 Al3 Si5 N11 O3'
_space_group_name_H-M_alt 'P 1'
_space_group_IT_number 1
_cell_length_a 6.196
_cell_length_b 6.196
_cell_length_c 10.425
_cell_angle_alpha 90.00
_cell_angle_beta 90.00
_cell_angle_gamma 120.00
loop_
_space_group_symop_operation_xyz
'x,y,z'
loop_
_atom_site_label
_atom_site_fract_x
_atom_site_fract_y
_atom_site_fract_z
_atom_site_occupancy
Sr1 0.000 0.000 0.000 1
Sr2 0.333 0.667 0.516 1
Er1 0.000 0.000 0.507 1
Er2 0.333 0.667 0.215 1
Al1 0.344 0.172 0.302 1
Al2 0.828 0.172 0.302 1
Al3 0.828 0.656 0.302 1
Si1 0.007 0.503 0.800 1
Si2 0.497 0.503 0.800 1
Si3 0.497 0.993 0.800 1
Si4 0.667 0.333 0.080 1
Si5 0.667 0.333 0.575 1
N1 0.158 0.316 0.362 1
N2 0.158 0.842 0.362 1
N3 0.367 0.183 0.128 1
N4 0.520 0.040 0.643 1
N5 0.520 0.480 0.643 1
N6 0.667 0.333 0.401 1
N7 0.667 0.333 0.883 1
N8 0.684 0.842 0.362 1
N9 0.817 0.183 0.128 1
N10 0.817 0.633 0.128 1
N11 0.960 0.480 0.643 1
O1 0.193 0.385 0.849 1
O2 0.193 0.807 0.849 1
O3 0.615 0.807 0.849 1